# InSi4H39C14O | the Materials Project database | PBE | optimized geometry
data_InSi4H39C14O
_chemical_formula_sum 'In2 Si8 H78 C28 O2'
_cell_length_a 9.927
_cell_length_b 12.431
_cell_length_c 12.876
_cell_angle_alpha 76.05
_cell_angle_beta 69.64
_cell_angle_gamma 66.80
_symmetry_space_group_name_H-M 'P 1'
_symmetry_Int_Tables_number 1
_symmetry_space_group_name_Hall 'P 1'
loop_
_atom_site_label
_atom_site_type_symbol
_atom_site_fract_x
_atom_site_fract_y
_atom_site_fract_z
In1 In 0.015 0.492 0.361
In2 In 0.985 0.508 0.639
Si1 Si 0.121 0.728 0.630
Si2 Si 0.178 0.273 0.795
Si3 Si 0.183 0.674 0.157
Si4 Si 0.245 0.212 0.293
Si5 Si 0.755 0.788 0.707
Si6 Si 0.817 0.326 0.843
Si7 Si 0.822 0.727 0.205
Si8 Si 0.879 0.272 0.370
H1 H 0.028 0.918 0.714
H2 H 0.030 0.891 0.486
H3 H 0.031 0.277 0.676
H4 H 0.045 0.360 0.218
H5 H 0.075 0.370 0.970
H6 H 0.108 0.118 0.949
H7 H 0.112 0.795 0.802
H8 H 0.113 0.876 0.048
H9 H 0.115 0.754 0.432
H10 H 0.129 0.884 0.178
H11 H 0.158 0.650 0.978
H12 H 0.160 0.459 0.856
H13 H 0.207 0.030 0.271
H14 H 0.210 0.058 0.821
H15 H 0.212 0.098 0.484
H16 H 0.230 0.850 0.680
H17 H 0.232 0.824 0.445
H18 H 0.234 0.509 0.050
H19 H 0.237 0.495 0.446
H20 H 0.255 0.114 0.139
H21 H 0.267 0.220 0.478
H22 H 0.277 0.328 0.917
H23 H 0.296 0.832 0.068
H24 H 0.308 0.086 0.898
H25 H 0.319 0.557 0.705
H26 H 0.329 0.651 0.291
H27 H 0.333 0.537 0.569
H28 H 0.352 0.597 0.978
H29 H 0.360 0.339 0.621
H30 H 0.366 0.510 0.256
H31 H 0.380 0.190 0.626
H32 H 0.383 0.316 0.120
H33 H 0.398 0.027 0.208
H34 H 0.402 0.641 0.586
H35 H 0.404 0.091 0.419
H36 H 0.405 0.344 0.242
H37 H 0.453 0.608 0.160
H38 H 0.457 0.228 0.712
H39 H 0.489 0.795 0.809
H40 H 0.511 0.205 0.191
H41 H 0.543 0.772 0.288
H42 H 0.547 0.392 0.840
H43 H 0.595 0.656 0.758
H44 H 0.596 0.909 0.581
H45 H 0.598 0.359 0.414
H46 H 0.602 0.973 0.792
H47 H 0.617 0.684 0.880
H48 H 0.620 0.810 0.374
H49 H 0.634 0.490 0.744
H50 H 0.640 0.661 0.379
H51 H 0.648 0.403 0.022
H52 H 0.667 0.463 0.431
H53 H 0.671 0.349 0.709
H54 H 0.681 0.443 0.295
H55 H 0.692 0.914 0.102
H56 H 0.704 0.168 0.932
H57 H 0.723 0.672 0.083
H58 H 0.733 0.780 0.522
H59 H 0.745 0.886 0.861
H60 H 0.763 0.505 0.554
H61 H 0.766 0.491 0.950
H62 H 0.768 0.176 0.555
H63 H 0.770 0.150 0.320
H64 H 0.788 0.902 0.516
H65 H 0.790 0.942 0.179
H66 H 0.793 0.970 0.729
H67 H 0.840 0.541 0.144
H68 H 0.842 0.350 0.022
H69 H 0.871 0.116 0.822
H70 H 0.885 0.246 0.568
H71 H 0.887 0.124 0.952
H72 H 0.888 0.205 0.198
H73 H 0.892 0.882 0.051
H74 H 0.925 0.630 0.030
H75 H 0.955 0.640 0.782
H76 H 0.969 0.723 0.324
H77 H 0.970 0.109 0.514
H78 H 0.972 0.082 0.286
C1 C 0.004 0.333 0.741
C2 C 0.047 0.326 0.305
C3 C 0.121 0.832 0.715
C4 C 0.124 0.806 0.485
C5 C 0.171 0.367 0.893
C6 C 0.179 0.831 0.108
C7 C 0.202 0.120 0.873
C8 C 0.236 0.600 0.030
C9 C 0.277 0.084 0.221
C10 C 0.285 0.150 0.432
C11 C 0.310 0.603 0.622
C12 C 0.347 0.604 0.223
C13 C 0.360 0.257 0.676
C14 C 0.399 0.276 0.203
C15 C 0.601 0.724 0.797
C16 C 0.640 0.743 0.324
C17 C 0.653 0.396 0.777
C18 C 0.690 0.397 0.378
C19 C 0.715 0.850 0.568
C20 C 0.723 0.916 0.779
C21 C 0.764 0.400 0.970
C22 C 0.798 0.880 0.127
C23 C 0.821 0.169 0.892
C24 C 0.829 0.633 0.107
C25 C 0.876 0.194 0.515
C26 C 0.879 0.168 0.285
C27 C 0.953 0.674 0.695
C28 C 0.996 0.667 0.259
O1 O 0.152 0.466 0.475
O2 O 0.848 0.534 0.525
# Size of the total moment = 0.11 μB/f.u.
# DFT formation energy = -0.2411 eV per atom
# Mass density = 1.101 g cm⁻³

***

# ZrU4O10 | the Materials Project database | PBE | optimized geometry
data_ZrU4O10
_chemical_formula_sum 'Zr2 U8 O20'
_cell_length_a 3.804
_cell_length_b 6.567
_cell_length_c 15.622
_cell_angle_alpha 86.11
_cell_angle_beta 83.03
_cell_angle_gamma 89.98
_symmetry_space_group_name_H-M 'P 1'
_symmetry_Int_Tables_number 1
_symmetry_space_group_name_Hall 'P 1'
loop_
_atom_site_label
_atom_site_type_symbol
_atom_site_fract_x
_atom_site_fract_y
_atom_site_fract_z
Zr1 Zr 0.000 0.000 0.000
Zr2 Zr 0.206 0.394 0.602
U1 U 0.100 0.696 0.800
U2 U 0.296 0.097 0.402
U3 U 0.397 0.798 0.199
U4 U 0.500 0.499 0.999
U5 U 0.602 0.195 0.800
U6 U 0.698 0.895 0.601
U7 U 0.796 0.594 0.403
U8 U 0.897 0.297 0.199
O1 O 0.025 0.681 0.952
O2 O 0.074 0.024 0.854
O3 O 0.131 0.369 0.746
O4 O 0.172 0.713 0.648
O5 O 0.223 0.077 0.554
O6 O 0.268 0.420 0.456
O7 O 0.322 0.770 0.352
O8 O 0.369 0.122 0.250
O9 O 0.423 0.473 0.148
O10 O 0.473 0.831 0.048
O11 O 0.524 0.165 0.952
O12 O 0.578 0.519 0.850
O13 O 0.624 0.871 0.750
O14 O 0.677 0.227 0.649
O15 O 0.719 0.561 0.554
O16 O 0.772 0.920 0.453
O17 O 0.820 0.271 0.351
O18 O 0.873 0.623 0.250
O19 O 0.924 0.973 0.145
O20 O 0.976 0.315 0.046
# Size of the total moment = 8.00 μB/f.u.
# DFT formation energy = -3.7186 eV per atom
# Mass density = 10.339 g cm⁻³
# Energy above the most stable polymorph in this dataset = 8 meV/atom

***

# K2SbAu | the Materials Project database | PBE | optimized geometry
data_K2SbAu
_chemical_formula_sum 'K4 Sb2 Au2'
_cell_length_a 6.636
_cell_length_b 6.636
_cell_length_c 6.639
_cell_angle_alpha 90.00
_cell_angle_beta 90.00
_cell_angle_gamma 73.77
_symmetry_space_group_name_H-M 'P 1'
_symmetry_Int_Tables_number 1
_symmetry_space_group_name_Hall 'P 1'
loop_
_atom_site_label
_atom_site_type_symbol
_atom_site_fract_x
_atom_site_fract_y
_atom_site_fract_z
K1 K 0.007 0.335 0.250
K2 K 0.335 0.007 0.750
K3 K 0.665 0.993 0.250
K4 K 0.993 0.665 0.750
Sb1 Sb 0.233 0.767 0.250
Sb2 Sb 0.767 0.233 0.750
Au1 Au 0.500 0.500 0.000
Au2 Au 0.500 0.500 0.500
# DFT formation energy = -0.5151 eV per atom
# Mass density = 4.696 g cm⁻³

***

# KLi3SiO4 | the Materials Project database | PBE | optimized geometry
data_KLi3SiO4
_chemical_formula_sum 'K4 Li12 Si4 O16'
_cell_length_a 5.812
_cell_length_b 7.436
_cell_length_c 9.828
_cell_angle_alpha 84.02
_cell_angle_beta 76.53
_cell_angle_gamma 80.19
_symmetry_space_group_name_H-M 'P 1'
_symmetry_Int_Tables_number 1
_symmetry_space_group_name_Hall 'P 1'
loop_
_atom_site_label
_atom_site_type_symbol
_atom_site_fract_x
_atom_site_fract_y
_atom_site_fract_z
K1 K 0.005 0.383 0.384
K2 K 0.042 0.141 0.129
K3 K 0.958 0.859 0.871
K4 K 0.995 0.617 0.616
Li1 Li 0.187 0.451 0.895
Li2 Li 0.200 0.170 0.645
Li3 Li 0.207 0.939 0.397
Li4 Li 0.432 0.050 0.874
Li5 Li 0.465 0.574 0.371
Li6 Li 0.483 0.328 0.111
Li7 Li 0.517 0.672 0.889
Li8 Li 0.535 0.426 0.629
Li9 Li 0.568 0.950 0.126
Li10 Li 0.793 0.061 0.603
Li11 Li 0.800 0.830 0.355
Li12 Li 0.813 0.549 0.105
Si1 Si 0.161 0.708 0.149
Si2 Si 0.440 0.787 0.637
Si3 Si 0.560 0.213 0.363
Si4 Si 0.839 0.292 0.851
O1 O 0.126 0.207 0.850
O2 O 0.183 0.712 0.314
O3 O 0.196 0.499 0.092
O4 O 0.206 0.923 0.596
O5 O 0.346 0.617 0.751
O6 O 0.350 0.832 0.042
O7 O 0.392 0.318 0.502
O8 O 0.406 0.108 0.282
O9 O 0.594 0.892 0.718
O10 O 0.608 0.682 0.498
O11 O 0.650 0.168 0.958
O12 O 0.654 0.383 0.249
O13 O 0.794 0.077 0.404
O14 O 0.804 0.501 0.908
O15 O 0.817 0.288 0.686
O16 O 0.874 0.793 0.150
# Size of the total moment = 0.00 μB/f.u.
# DFT formation energy = -2.6154 eV per atom
# Mass density = 2.487 g cm⁻³

***

# Ca8MgSi4Cl2O16 | the Materials Project database | PBE | optimized geometry
data_Ca8MgSi4Cl2O16
_chemical_formula_sum 'Ca16 Mg2 Si8 Cl4 O32'
_cell_length_a 10.813
_cell_length_b 11.053
_cell_length_c 11.072
_cell_angle_alpha 118.90
_cell_angle_beta 90.62
_cell_angle_gamma 118.35
_symmetry_space_group_name_H-M 'P 1'
_symmetry_Int_Tables_number 1
_symmetry_space_group_name_Hall 'P 1'
loop_
_atom_site_label
_atom_site_type_symbol
_atom_site_fract_x
_atom_site_fract_y
_atom_site_fract_z
Ca1 Ca 0.000 0.000 0.000
Ca2 Ca 0.004 0.632 0.520
Ca3 Ca 0.018 0.242 0.355
Ca4 Ca 0.073 0.922 0.394
Ca5 Ca 0.082 0.295 0.844
Ca6 Ca 0.326 0.734 0.162
Ca7 Ca 0.357 0.328 0.166
Ca8 Ca 0.365 0.791 0.625
Ca9 Ca 0.392 0.009 0.958
Ca10 Ca 0.497 0.314 0.891
Ca11 Ca 0.525 0.715 0.878
Ca12 Ca 0.569 0.371 0.466
Ca13 Ca 0.761 0.821 0.199
Ca14 Ca 0.813 0.822 0.624
Ca15 Ca 0.868 0.368 0.651
Ca16 Ca 0.967 0.576 0.018
Mg1 Mg 0.339 0.302 0.636
Mg2 Mg 0.552 0.780 0.407
Si1 Si 0.153 0.496 0.246
Si2 Si 0.166 0.016 0.742
Si3 Si 0.202 0.555 0.742
Si4 Si 0.318 0.043 0.274
Si5 Si 0.609 0.022 0.263
Si6 Si 0.673 0.097 0.749
Si7 Si 0.713 0.601 0.830
Si8 Si 0.728 0.563 0.256
Cl1 Cl 0.368 0.490 0.035
Cl2 Cl 0.429 0.529 0.487
Cl3 Cl 0.564 0.135 0.614
Cl4 Cl 0.948 0.105 0.531
O1 O 0.028 0.863 0.560
O2 O 0.029 0.045 0.810
O3 O 0.093 0.487 0.588
O4 O 0.099 0.501 0.110
O5 O 0.102 0.535 0.851
O6 O 0.133 0.320 0.197
O7 O 0.191 0.848 0.199
O8 O 0.214 0.874 0.704
O9 O 0.271 0.163 0.710
O10 O 0.280 0.455 0.732
O11 O 0.282 0.133 0.929
O12 O 0.298 0.152 0.428
O13 O 0.322 0.667 0.353
O14 O 0.340 0.122 0.178
O15 O 0.343 0.744 0.804
O16 O 0.488 0.078 0.325
O17 O 0.529 0.910 0.087
O18 O 0.557 0.444 0.692
O19 O 0.560 0.077 0.842
O20 O 0.578 0.881 0.298
O21 O 0.586 0.386 0.124
O22 O 0.638 0.914 0.625
O23 O 0.643 0.615 0.966
O24 O 0.677 0.690 0.354
O25 O 0.762 0.777 0.845
O26 O 0.780 0.167 0.335
O27 O 0.795 0.435 0.510
O28 O 0.802 0.595 0.599
O29 O 0.837 0.559 0.840
O30 O 0.841 0.254 0.819
O31 O 0.864 0.664 0.207
O32 O 0.969 0.995 0.196
# Size of the total moment = 1.00 μB/f.u.
# DFT formation energy = -2.9362 eV per atom
# Mass density = 2.688 g cm⁻³

***

# BaZr2Ti3Pb4O15 | the Materials Project database | PBE | optimized geometry
data_BaZr2Ti3Pb4O15
_chemical_formula_sum 'Ba1 Zr2 Ti3 Pb4 O15'
_cell_length_a 4.417
_cell_length_b 4.052
_cell_length_c 20.014
_cell_angle_alpha 90.00
_cell_angle_beta 90.16
_cell_angle_gamma 90.00
_symmetry_space_group_name_H-M 'P 1'
_symmetry_Int_Tables_number 1
_symmetry_space_group_name_Hall 'P 1'
loop_
_atom_site_label
_atom_site_type_symbol
_atom_site_fract_x
_atom_site_fract_y
_atom_site_fract_z
Ba1 Ba 0.000 0.000 0.000
Zr1 Zr 0.491 0.500 0.314
Zr2 Zr 0.499 0.500 0.105
Ti1 Ti 0.478 0.500 0.901
Ti2 Ti 0.480 0.500 0.708
Ti3 Ti 0.482 0.500 0.515
Pb1 Pb 0.919 0.000 0.805
Pb2 Pb 0.925 0.000 0.612
Pb3 Pb 0.927 0.000 0.212
Pb4 Pb 0.928 0.000 0.420
O1 O 0.043 0.500 0.311
O2 O 0.045 0.500 0.101
O3 O 0.077 0.500 0.902
O4 O 0.083 0.500 0.707
O5 O 0.085 0.500 0.513
O6 O 0.541 0.500 0.997
O7 O 0.553 0.000 0.899
O8 O 0.569 0.000 0.706
O9 O 0.571 0.000 0.514
O10 O 0.576 0.000 0.105
O11 O 0.577 0.500 0.210
O12 O 0.580 0.500 0.803
O13 O 0.582 0.500 0.611
O14 O 0.583 0.500 0.419
O15 O 0.589 0.000 0.313
# Size of the total moment = 0.00 μB/f.u.
# DFT formation energy = -2.9177 eV per atom
# Mass density = 7.103 g cm⁻³

***

# Tm4Fe34C3 | the Materials Project database | PBE | optimized geometry
data_Tm4Fe34C3
_chemical_formula_sum 'Tm4 Fe34 C3'
_cell_length_a 6.415
_cell_length_b 6.454
_cell_length_c 12.849
_cell_angle_alpha 83.34
_cell_angle_beta 82.80
_cell_angle_gamma 83.65
_symmetry_space_group_name_H-M 'P 1'
_symmetry_Int_Tables_number 1
_symmetry_space_group_name_Hall 'P 1'
loop_
_atom_site_label
_atom_site_type_symbol
_atom_site_fract_x
_atom_site_fract_y
_atom_site_fract_z
Tm1 Tm 0.155 0.164 0.078
Tm2 Tm 0.161 0.161 0.577
Tm3 Tm 0.839 0.839 0.423
Tm4 Tm 0.845 0.836 0.922
Fe1 Fe 0.000 0.499 0.250
Fe2 Fe 0.000 0.501 0.750
Fe3 Fe 0.155 0.158 0.824
Fe4 Fe 0.155 0.648 0.077
Fe5 Fe 0.155 0.652 0.577
Fe6 Fe 0.157 0.156 0.326
Fe7 Fe 0.207 0.501 0.397
Fe8 Fe 0.208 0.499 0.896
Fe9 Fe 0.216 0.784 0.250
Fe10 Fe 0.216 0.784 0.750
Fe11 Fe 0.349 0.844 0.423
Fe12 Fe 0.351 0.843 0.922
Fe13 Fe 0.404 0.402 0.203
Fe14 Fe 0.404 0.405 0.700
Fe15 Fe 0.497 0.001 0.749
Fe16 Fe 0.499 0.216 0.892
Fe17 Fe 0.500 0.207 0.397
Fe18 Fe 0.500 0.500 0.000
Fe19 Fe 0.500 0.500 0.500
Fe20 Fe 0.500 0.793 0.603
Fe21 Fe 0.501 0.784 0.108
Fe22 Fe 0.503 0.999 0.251
Fe23 Fe 0.596 0.595 0.300
Fe24 Fe 0.596 0.598 0.797
Fe25 Fe 0.649 0.157 0.078
Fe26 Fe 0.651 0.156 0.577
Fe27 Fe 0.784 0.216 0.250
Fe28 Fe 0.784 0.216 0.750
Fe29 Fe 0.792 0.501 0.104
Fe30 Fe 0.793 0.499 0.603
Fe31 Fe 0.843 0.844 0.674
Fe32 Fe 0.845 0.348 0.423
Fe33 Fe 0.845 0.352 0.923
Fe34 Fe 0.845 0.842 0.176
C1 C 0.001 0.001 0.251
C2 C 0.500 0.000 0.000
C3 C 0.999 0.999 0.749
# Size of the total moment = 73.39 μB/f.u.
# DFT formation energy = -0.0584 eV per atom
# Mass density = 8.309 g cm⁻³

***

# Tm2Fe17C3 | the Materials Project database | PBE | optimized geometry
data_Tm2Fe17C3
_chemical_formula_sum 'Tm2 Fe17 C3'
_cell_length_a 6.474
_cell_length_b 6.474
_cell_length_c 6.474
_cell_angle_alpha 83.09
_cell_angle_beta 83.09
_cell_angle_gamma 83.09
_symmetry_space_group_name_H-M 'P 1'
_symmetry_Int_Tables_number 1
_symmetry_space_group_name_Hall 'P 1'
loop_
_atom_site_label
_atom_site_type_symbol
_atom_site_fract_x
_atom_site_fract_y
_atom_site_fract_z
Tm1 Tm 0.158 0.158 0.158
Tm2 Tm 0.842 0.842 0.842
Fe1 Fe 0.000 0.500 0.500
Fe2 Fe 0.156 0.156 0.646
Fe3 Fe 0.156 0.646 0.156
Fe4 Fe 0.216 0.500 0.784
Fe5 Fe 0.216 0.784 0.500
Fe6 Fe 0.354 0.844 0.844
Fe7 Fe 0.404 0.404 0.404
Fe8 Fe 0.500 0.000 0.500
Fe9 Fe 0.500 0.216 0.784
Fe10 Fe 0.500 0.500 0.000
Fe11 Fe 0.500 0.784 0.216
Fe12 Fe 0.596 0.596 0.596
Fe13 Fe 0.646 0.156 0.156
Fe14 Fe 0.784 0.216 0.500
Fe15 Fe 0.784 0.500 0.216
Fe16 Fe 0.844 0.354 0.844
Fe17 Fe 0.844 0.844 0.354
C1 C 0.000 0.000 0.500
C2 C 0.000 0.500 0.000
C3 C 0.500 0.000 0.000
# Size of the total moment = 34.22 μB/f.u.
# DFT formation energy = -0.0890 eV per atom
# Mass density = 8.263 g cm⁻³